# 1
Na2H2WO4, optimized geometry, DFT PBE with a Hubbard U; formation energy = -1135 meV/atom; theoretical density = 3.057 g/cm³
1.0
8.630 0.000 0.000
0.000 10.607 0.000
0.000 0.000 14.042
H W Na O
16 8 16 32
direct
0.283 0.660 0.808 H
0.217 0.340 0.308 H
0.717 0.160 0.692 H
0.965 0.395 0.793 H
0.465 0.395 0.707 H
0.717 0.340 0.192 H
0.217 0.160 0.808 H
0.465 0.105 0.207 H
0.535 0.605 0.293 H
0.035 0.605 0.207 H
0.283 0.840 0.308 H
0.035 0.895 0.707 H
0.783 0.660 0.692 H
0.965 0.105 0.293 H
0.535 0.895 0.793 H
0.783 0.840 0.192 H
0.987 0.798 0.972 W
0.487 0.798 0.528 W
0.487 0.702 0.028 W
0.513 0.202 0.472 W
0.513 0.298 0.972 W
0.013 0.298 0.528 W
0.987 0.702 0.472 W
0.013 0.202 0.028 W
0.166 0.497 0.936 Na
0.166 0.003 0.436 Na
0.738 0.561 0.858 Na
0.834 0.997 0.564 Na
0.738 0.939 0.358 Na
0.666 0.497 0.564 Na
0.334 0.997 0.936 Na
0.762 0.061 0.858 Na
0.238 0.939 0.142 Na
0.262 0.439 0.142 Na
0.262 0.061 0.642 Na
0.334 0.503 0.436 Na
0.762 0.439 0.358 Na
0.666 0.003 0.064 Na
0.834 0.503 0.064 Na
0.238 0.561 0.642 Na
0.950 0.869 0.442 O
0.858 0.143 0.102 O
0.450 0.869 0.058 O
0.814 0.609 0.451 O
0.050 0.131 0.558 O
0.142 0.643 0.398 O
0.686 0.391 0.951 O
0.539 0.686 0.903 O
0.814 0.891 0.951 O
0.950 0.631 0.942 O
0.186 0.391 0.549 O
0.550 0.131 0.942 O
0.550 0.369 0.442 O
0.039 0.686 0.597 O
0.358 0.143 0.398 O
0.642 0.857 0.602 O
0.642 0.643 0.102 O
0.186 0.109 0.049 O
0.314 0.609 0.049 O
0.461 0.186 0.597 O
0.142 0.857 0.898 O
0.039 0.814 0.097 O
0.358 0.357 0.898 O
0.961 0.186 0.903 O
0.961 0.314 0.403 O
0.539 0.814 0.403 O
0.858 0.357 0.602 O
0.450 0.631 0.558 O
0.686 0.109 0.451 O
0.461 0.314 0.097 O
0.050 0.369 0.058 O
0.314 0.891 0.549 O

# 2
Li4V3P8O29, optimized geometry, DFT PBE with a Hubbard U; formation energy = -2575 meV/atom; theoretical density = 2.521 g/cm³
1.0
9.744 0.000 0.000
4.839 8.470 0.000
0.076 0.051 14.246
V O P Li
6 58 16 8
direct
0.434 0.002 0.245 V
0.004 0.430 0.741 V
0.565 0.001 0.751 V
0.572 0.431 0.249 V
0.435 0.564 0.752 V
0.995 0.564 0.261 V
0.229 0.992 0.917 O
0.253 0.662 0.843 O
0.810 0.673 0.328 O
0.181 0.482 0.181 O
0.746 0.917 0.662 O
0.619 0.462 0.668 O
0.014 0.198 0.240 O
0.794 0.204 0.578 O
0.260 0.081 0.335 O
0.923 0.738 0.169 O
0.818 0.516 0.819 O
0.796 0.997 0.251 O
0.477 0.341 0.178 O
0.011 0.791 0.583 O
0.324 0.342 0.524 O
0.517 0.670 0.831 O
0.324 0.348 0.031 O
0.205 0.791 0.249 O
0.765 0.016 0.432 O
0.320 0.491 0.669 O
0.764 0.241 0.929 O
0.522 0.380 0.823 O
0.508 0.817 0.326 O
0.667 0.520 0.323 O
0.385 0.527 0.326 O
0.656 0.258 0.330 O
0.477 0.619 0.176 O
0.096 0.519 0.821 O
0.228 0.770 0.427 O
0.377 0.097 0.819 O
0.188 0.328 0.675 O
0.471 0.912 0.668 O
0.989 0.798 0.761 O
0.231 0.978 0.563 O
0.989 0.257 0.065 O
0.650 0.674 0.473 O
0.675 0.815 0.829 O
0.080 0.378 0.332 O
0.199 0.012 0.739 O
0.088 0.653 0.337 O
0.001 0.749 0.935 O
0.999 0.198 0.419 O
0.341 0.741 0.667 O
0.342 0.916 0.165 O
0.916 0.340 0.664 O
0.686 0.653 0.971 O
0.622 0.900 0.180 O
0.340 0.184 0.176 O
0.530 0.086 0.324 O
0.745 0.342 0.168 O
0.920 0.618 0.670 O
0.904 0.478 0.184 O
0.239 0.763 0.071 O
0.488 0.190 0.666 O
0.079 0.256 0.835 O
0.795 0.205 0.753 O
0.661 0.083 0.842 O
0.773 0.984 0.071 O
0.224 0.086 0.834 P
0.330 0.341 0.134 P
0.684 0.230 0.844 P
0.914 0.319 0.156 P
0.778 0.907 0.161 P
0.775 0.307 0.660 P
0.318 0.770 0.159 P
0.230 0.683 0.340 P
0.658 0.670 0.369 P
0.918 0.779 0.663 P
0.673 0.663 0.867 P
0.084 0.216 0.338 P
0.687 0.087 0.341 P
0.315 0.912 0.654 P
0.335 0.336 0.628 P
0.087 0.678 0.845 P
0.773 0.913 0.941 Li
0.235 0.669 0.562 Li
0.985 0.054 0.509 Li
0.319 0.773 0.939 Li
0.915 0.310 0.940 Li
0.673 0.092 0.561 Li
0.329 0.907 0.441 Li
0.086 0.686 0.060 Li

# 3
Y2Mn3O9, optimized geometry, DFT PBE with a Hubbard U; formation energy = -2359 meV/atom; theoretical density = 4.242 g/cm³
1.0
3.029 -5.246 0.000
3.029 5.246 0.000
0.000 0.000 11.988
O Mn Y
18 6 4
direct
0.667 0.333 0.522 O
0.668 0.040 0.349 O
0.333 0.667 0.515 O
0.040 0.372 0.849 O
0.372 0.332 0.349 O
0.332 0.960 0.849 O
0.021 0.721 0.656 O
0.979 0.279 0.156 O
0.300 0.021 0.156 O
0.721 0.700 0.156 O
0.000 0.000 0.477 O
0.700 0.979 0.656 O
0.000 0.000 0.977 O
0.628 0.668 0.849 O
0.279 0.300 0.656 O
0.667 0.333 0.015 O
0.333 0.667 0.022 O
0.960 0.628 0.349 O
0.005 0.336 0.003 Mn
0.330 0.995 0.003 Mn
0.664 0.670 0.003 Mn
0.670 0.005 0.503 Mn
0.995 0.664 0.503 Mn
0.336 0.330 0.503 Mn
0.000 0.000 0.276 Y
0.333 0.667 0.729 Y
0.667 0.333 0.229 Y
0.000 0.000 0.776 Y

# 4
Zn3Fe4Mo6O24, optimized geometry, DFT PBE with a Hubbard U; formation energy = -1823 meV/atom; theoretical density = 4.214 g/cm³
1.0
-1.103 6.123 3.405
-7.570 -3.409 -0.133
5.310 -5.778 6.711
O Fe Zn Mo
24 4 3 6
direct
0.183 0.443 0.172 O
0.078 0.068 0.146 O
0.640 0.742 0.013 O
0.722 0.492 0.247 O
0.763 0.212 0.032 O
0.552 0.136 0.224 O
0.448 0.864 0.776 O
0.922 0.932 0.854 O
0.673 0.961 0.582 O
0.278 0.508 0.753 O
0.360 0.258 0.987 O
0.488 0.774 0.281 O
0.008 0.735 0.180 O
0.327 0.039 0.418 O
0.125 0.031 0.653 O
0.875 0.969 0.347 O
0.202 0.696 0.463 O
0.512 0.226 0.719 O
0.124 0.314 0.416 O
0.876 0.686 0.584 O
0.798 0.304 0.537 O
0.992 0.265 0.820 O
0.237 0.788 0.968 O
0.817 0.557 0.828 O
0.952 0.786 0.992 Fe
0.377 0.957 0.608 Fe
0.048 0.214 0.008 Fe
0.623 0.043 0.392 Fe
0.286 0.285 0.791 Zn
0.000 0.500 0.500 Zn
0.714 0.715 0.209 Zn
0.596 0.273 0.121 Mo
0.895 0.905 0.671 Mo
0.105 0.095 0.329 Mo
0.404 0.727 0.879 Mo
0.221 0.660 0.277 Mo
0.779 0.340 0.723 Mo

# 5
Cr2NiO4, optimized geometry, DFT PBE with a Hubbard U; formation energy = -2030 meV/atom; theoretical density = 4.946 g/cm³
1.0
-1.658 4.905 -2.923
5.176 -0.037 3.062
5.217 -0.001 -2.939
Ni Cr O
2 4 8
direct
0.375 0.249 0.379 Ni
0.626 0.750 0.630 Ni
0.500 0.000 0.001 Cr
0.999 0.498 0.000 Cr
0.001 0.502 0.498 Cr
0.000 0.000 0.001 Cr
0.757 0.473 0.760 O
0.765 0.032 0.756 O
0.217 0.474 0.760 O
0.239 0.978 0.240 O
0.783 0.526 0.233 O
0.761 0.022 0.219 O
0.243 0.526 0.234 O
0.234 0.969 0.789 O

# 6
MgFeSiO4, optimized geometry, DFT PBE with a Hubbard U; formation energy = -2762 meV/atom; theoretical density = 3.674 g/cm³
1.0
-4.818 0.000 0.000
0.000 0.000 -6.145
0.000 -10.516 0.000
O Si Mg Fe
16 4 4 4
direct
0.265 0.750 0.413 O
0.228 0.250 0.451 O
0.783 0.535 0.338 O
0.272 0.250 0.951 O
0.772 0.750 0.549 O
0.235 0.750 0.913 O
0.728 0.750 0.049 O
0.717 0.535 0.838 O
0.735 0.250 0.587 O
0.765 0.250 0.087 O
0.217 0.035 0.662 O
0.283 0.035 0.162 O
0.217 0.465 0.662 O
0.283 0.465 0.162 O
0.717 0.965 0.838 O
0.783 0.965 0.338 O
0.073 0.250 0.593 Si
0.427 0.250 0.093 Si
0.927 0.750 0.407 Si
0.573 0.750 0.907 Si
0.000 0.000 0.000 Mg
0.000 0.500 0.000 Mg
0.500 0.000 0.500 Mg
0.500 0.500 0.500 Mg
0.012 0.750 0.722 Fe
0.512 0.250 0.778 Fe
0.988 0.250 0.278 Fe
0.488 0.750 0.222 Fe

# 7
Li3Mn2P3O12, optimized geometry, DFT PBE with a Hubbard U; formation energy = -2564 meV/atom; theoretical density = 2.990 g/cm³
1.0
8.682 0.000 0.000
0.000 8.511 0.000
0.000 0.570 12.496
P Mn Li O
12 8 12 48
direct
0.754 0.538 0.002 P
0.746 0.038 0.502 P
0.614 0.102 0.134 P
0.406 0.401 0.659 P
0.114 0.398 0.366 P
0.254 0.962 0.498 P
0.094 0.901 0.159 P
0.386 0.898 0.866 P
0.886 0.602 0.634 P
0.246 0.462 0.998 P
0.594 0.599 0.341 P
0.906 0.099 0.841 P
0.041 0.751 0.905 Mn
0.959 0.249 0.095 Mn
0.459 0.251 0.405 Mn
0.456 0.751 0.109 Mn
0.541 0.749 0.595 Mn
0.044 0.251 0.609 Mn
0.544 0.249 0.891 Mn
0.956 0.749 0.391 Mn
0.089 0.917 0.698 Li
0.781 0.788 0.171 Li
0.411 0.417 0.198 Li
0.805 0.418 0.260 Li
0.195 0.582 0.740 Li
0.589 0.583 0.802 Li
0.219 0.212 0.829 Li
0.695 0.918 0.760 Li
0.911 0.083 0.302 Li
0.305 0.082 0.240 Li
0.719 0.288 0.671 Li
0.281 0.712 0.329 Li
0.756 0.646 0.301 O
0.601 0.414 0.350 O
0.528 0.362 0.749 O
0.090 0.577 0.338 O
0.972 0.862 0.249 O
0.244 0.354 0.699 O
0.256 0.854 0.199 O
0.324 0.329 0.940 O
0.910 0.423 0.662 O
0.783 0.138 0.172 O
0.410 0.077 0.838 O
0.472 0.638 0.251 O
0.676 0.671 0.060 O
0.111 0.368 0.489 O
0.176 0.829 0.440 O
0.611 0.132 0.011 O
0.491 0.198 0.191 O
0.639 0.449 0.931 O
0.991 0.302 0.309 O
0.389 0.868 0.989 O
0.038 0.825 0.059 O
0.899 0.914 0.850 O
0.538 0.675 0.441 O
0.820 0.425 0.093 O
0.101 0.086 0.150 O
0.590 0.923 0.162 O
0.509 0.802 0.809 O
0.889 0.632 0.511 O
0.361 0.551 0.069 O
0.283 0.362 0.328 O
0.123 0.398 0.078 O
0.139 0.051 0.569 O
0.623 0.102 0.422 O
0.680 0.925 0.593 O
0.399 0.586 0.650 O
0.009 0.698 0.691 O
0.861 0.949 0.431 O
0.377 0.898 0.578 O
0.462 0.325 0.559 O
0.744 0.146 0.801 O
0.824 0.171 0.560 O
0.320 0.075 0.407 O
0.028 0.138 0.751 O
0.962 0.175 0.941 O
0.717 0.638 0.672 O
0.217 0.862 0.828 O
0.877 0.602 0.922 O
0.180 0.575 0.907 O

# 8
Li4Nb3Fe5O16, optimized geometry, DFT PBE with a Hubbard U; formation energy = -2275 meV/atom; theoretical density = 4.380 g/cm³
1.0
3.052 5.309 0.000
-3.052 5.309 0.000
0.000 0.083 9.846
Li O Nb Fe
4 16 3 5
direct
0.671 0.671 0.900 Li
0.005 0.005 0.002 Li
0.336 0.336 0.383 Li
0.012 0.012 0.492 Li
0.990 0.990 0.820 O
0.491 0.048 0.845 O
0.048 0.491 0.845 O
0.671 0.671 0.101 O
0.516 0.516 0.327 O
0.967 0.521 0.332 O
0.839 0.839 0.605 O
0.997 0.997 0.308 O
0.521 0.967 0.332 O
0.487 0.487 0.831 O
0.670 0.156 0.097 O
0.161 0.161 0.100 O
0.830 0.313 0.605 O
0.313 0.830 0.605 O
0.346 0.346 0.599 O
0.156 0.670 0.097 O
0.664 0.169 0.715 Nb
0.827 0.827 0.218 Nb
0.169 0.664 0.715 Nb
0.340 0.824 0.213 Fe
0.171 0.171 0.719 Fe
0.655 0.655 0.487 Fe
0.824 0.340 0.213 Fe
0.323 0.323 0.003 Fe

Which of these has the highest formation energy? Na2H2WO4

What is the formula in the seventh record? Li3Mn2P3O12

What did the seventh record say?
Li3Mn2P3O12, optimized geometry, DFT PBE with a Hubbard U; formation energy = -2564 meV/atom; theoretical density = 2.990 g/cm³
1.0
8.682 0.000 0.000
0.000 8.511 0.000
0.000 0.570 12.496
P Mn Li O
12 8 12 48
direct
0.754 0.538 0.002 P
0.746 0.038 0.502 P
0.614 0.102 0.134 P
0.406 0.401 0.659 P
0.114 0.398 0.366 P
0.254 0.962 0.498 P
0.094 0.901 0.159 P
0.386 0.898 0.866 P
0.886 0.602 0.634 P
0.246 0.462 0.998 P
0.594 0.599 0.341 P
0.906 0.099 0.841 P
0.041 0.751 0.905 Mn
0.959 0.249 0.095 Mn
0.459 0.251 0.405 Mn
0.456 0.751 0.109 Mn
0.541 0.749 0.595 Mn
0.044 0.251 0.609 Mn
0.544 0.249 0.891 Mn
0.956 0.749 0.391 Mn
0.089 0.917 0.698 Li
0.781 0.788 0.171 Li
0.411 0.417 0.198 Li
0.805 0.418 0.260 Li
0.195 0.582 0.740 Li
0.589 0.583 0.802 Li
0.219 0.212 0.829 Li
0.695 0.918 0.760 Li
0.911 0.083 0.302 Li
0.305 0.082 0.240 Li
0.719 0.288 0.671 Li
0.281 0.712 0.329 Li
0.756 0.646 0.301 O
0.601 0.414 0.350 O
0.528 0.362 0.749 O
0.090 0.577 0.338 O
0.972 0.862 0.249 O
0.244 0.354 0.699 O
0.256 0.854 0.199 O
0.324 0.329 0.940 O
0.910 0.423 0.662 O
0.783 0.138 0.172 O
0.410 0.077 0.838 O
0.472 0.638 0.251 O
0.676 0.671 0.060 O
0.111 0.368 0.489 O
0.176 0.829 0.440 O
0.611 0.132 0.011 O
0.491 0.198 0.191 O
0.639 0.449 0.931 O
0.991 0.302 0.309 O
0.389 0.868 0.989 O
0.038 0.825 0.059 O
0.899 0.914 0.850 O
0.538 0.675 0.441 O
0.820 0.425 0.093 O
0.101 0.086 0.150 O
0.590 0.923 0.162 O
0.509 0.802 0.809 O
0.889 0.632 0.511 O
0.361 0.551 0.069 O
0.283 0.362 0.328 O
0.123 0.398 0.078 O
0.139 0.051 0.569 O
0.623 0.102 0.422 O
0.680 0.925 0.593 O
0.399 0.586 0.650 O
0.009 0.698 0.691 O
0.861 0.949 0.431 O
0.377 0.898 0.578 O
0.462 0.325 0.559 O
0.744 0.146 0.801 O
0.824 0.171 0.560 O
0.320 0.075 0.407 O
0.028 0.138 0.751 O
0.962 0.175 0.941 O
0.717 0.638 0.672 O
0.217 0.862 0.828 O
0.877 0.602 0.922 O
0.180 0.575 0.907 O